DFT (r2SCAN) results for a geometry-optimized TlSn2Br5 structure.

Summary:
Formation energy: -0.89 eV per atom
Magnetic moment: 0.0 Bohr magnetons per cell

Unit cell a=8.4115 b=8.4115 c=9.4416 alpha=116.45 beta=116.45 gamma=90.00
With the nearest neighbours (Å) after each atom.
Fractional coordinates of all 16 atoms:
Tl 0.2500 0.2500 0.5000  10 Br 3.56-3.67
Tl 0.7500 0.7500 0.5000  10 Br 3.56-3.67
Sn 0.6790 0.8210 0.0000  2 Br 2.75
Sn 0.8210 0.3210 0.0000  2 Br 2.75
Sn 0.1790 0.6790 0.0000  2 Br 2.75
Sn 0.3210 0.1790 0.0000  2 Br 2.75
Br 0.0264 0.1999 0.7264  1 Sn 2.75
Br 0.1999 0.6999 0.7264  1 Sn 2.75
Br 0.5000 0.5000 0.0000  4 Sn 3.09
Br 0.5264 0.0264 0.7264  1 Sn 2.75
Br 0.9736 0.8001 0.2736  1 Sn 2.75
Br 0.6999 0.5264 0.7264  1 Sn 2.75
Br 0.8001 0.3001 0.2736  1 Sn 2.75
Br 0.4736 0.9736 0.2736  1 Sn 2.75
Br 0.0000 0.0000 0.0000  4 Sn 3.09
Br 0.3001 0.4736 0.2736  1 Sn 2.75

DFT (r2SCAN) results for a geometry-optimized SrBr2 structure.

Summary:
Formation energy: -2.41 eV per atom
Magnetic moment: 0.0 Bohr magnetons per cell

Unit cell a=4.7375 b=7.8334 c=11.3959 alpha=90.00 beta=90.00 gamma=90.00
With the nearest neighbours (Å) after each atom.
Fractional coordinates of all 12 atoms:
Sr 0.2500 0.1314 0.8316  7 Br 3.08-3.19
Sr 0.7500 0.8686 0.1684  7 Br 3.08-3.19
Sr 0.2500 0.3686 0.3316  7 Br 3.08-3.19
Sr 0.7500 0.6314 0.6684  7 Br 3.08-3.19
Br 0.7500 0.6221 0.3912  4 Sr 3.16-3.19
Br 0.2500 0.3779 0.6088  4 Sr 3.16-3.19
Br 0.2500 0.6251 0.1260  3 Sr 3.08-3.09
Br 0.2500 0.1221 0.1088  4 Sr 3.16-3.19
Br 0.2500 0.8749 0.6260  3 Sr 3.08-3.09
Br 0.7500 0.3749 0.8740  3 Sr 3.08-3.09
Br 0.7500 0.8779 0.8912  4 Sr 3.16-3.19
Br 0.7500 0.1251 0.3740  3 Sr 3.08-3.09

DFT (r2SCAN) results for a geometry-optimized SrBr2 structure.

Summary:
Formation energy: -2.38 eV per atom
Magnetic moment: 0.0 Bohr magnetons per cell

Unit cell a=7.1082 b=7.1082 c=4.6756 alpha=90.00 beta=90.00 gamma=90.00
With the nearest neighbours (Å) after each atom.
Fractional coordinates of all 6 atoms:
Sr 0.0000 0.0000 0.0000  6 Br 3.05-3.06
Sr 0.5000 0.5000 0.5000  6 Br 3.05-3.06
Br 0.3038 0.3038 0.0000  3 Sr 3.05-3.06
Br 0.6962 0.6962 0.0000  3 Sr 3.05-3.06
Br 0.1962 0.8038 0.5000  3 Sr 3.05-3.06
Br 0.8038 0.1962 0.5000  3 Sr 3.05-3.06

DFT (r2SCAN) results for a geometry-optimized SrBr2 structure.

Summary:
Formation energy: -2.41 eV per atom
Magnetic moment: 0.0 Bohr magnetons per cell

Unit cell a=7.1975 b=11.6646 c=11.6646 alpha=90.00 beta=90.00 gamma=90.00
With the nearest neighbours (Å) after each atom.
Fractional coordinates of all 30 atoms:
Sr 0.2519 0.0854 0.6044  7 Br 3.12-3.30
Sr 0.2519 0.6044 0.4146  7 Br 3.12-3.30
Sr 0.2519 0.8956 0.0854  7 Br 3.12-3.30
Sr 0.2519 0.4146 0.8956  7 Br 3.12-3.30
Sr 0.3492 0.2500 0.2500  8 Br 3.15-3.18
Sr 0.6508 0.7500 0.7500  8 Br 3.15-3.18
Sr 0.7481 0.1044 0.9146  7 Br 3.12-3.30
Sr 0.7481 0.3956 0.5854  7 Br 3.12-3.30
Sr 0.7481 0.5854 0.1044  7 Br 3.12-3.30
Sr 0.7481 0.9146 0.3956  7 Br 3.12-3.30
Br 0.0000 0.2500 0.7500  4 Sr 3.14
Br 0.0000 0.7500 0.2500  4 Sr 3.14
Br 0.1235 0.0401 0.3476  3 Sr 3.12-3.18
Br 0.1235 0.1524 0.0401  3 Sr 3.12-3.18
Br 0.1235 0.3476 0.4599  3 Sr 3.12-3.18
Br 0.1235 0.4599 0.1524  3 Sr 3.12-3.18
Br 0.4029 0.5426 0.6611  4 Sr 3.15-3.30
Br 0.4029 0.6611 0.9574  4 Sr 3.15-3.30
Br 0.4029 0.8389 0.5426  4 Sr 3.15-3.30
Br 0.4029 0.9574 0.8389  4 Sr 3.15-3.30
Br 0.5000 0.2500 0.7500  4 Sr 3.12
Br 0.5000 0.7500 0.2500  4 Sr 3.12
Br 0.5971 0.0426 0.1611  4 Sr 3.15-3.30
Br 0.5971 0.1611 0.4574  4 Sr 3.15-3.30
Br 0.5971 0.3389 0.0426  4 Sr 3.15-3.30
Br 0.5971 0.4574 0.3389  4 Sr 3.15-3.30
Br 0.8765 0.5401 0.8476  3 Sr 3.12-3.18
Br 0.8765 0.6524 0.5401  3 Sr 3.12-3.18
Br 0.8765 0.8476 0.9599  3 Sr 3.12-3.18
Br 0.8765 0.9599 0.6524  3 Sr 3.12-3.18

DFT (r2SCAN) results for a geometry-optimized Sr2TlBr5 structure.

Summary:
Formation energy: -2.07 eV per atom
Magnetic moment: 0.0 Bohr magnetons per cell

Unit cell a=8.3520 b=9.3606 c=13.4003 alpha=90.11 beta=90.00 gamma=90.00
With the nearest neighbours (Å) after each atom.
Fractional coordinates of all 32 atoms:
Sr 0.4748 0.9988 0.8216  8 Br 3.15-3.30
Sr 0.5252 0.0012 0.1784  8 Br 3.15-3.30
Sr 0.9748 0.0012 0.6784  8 Br 3.15-3.30
Sr 0.0252 0.9988 0.3216  8 Br 3.15-3.30
Sr 0.4294 0.7501 0.5056  7 Br 3.03-3.23
Sr 0.5706 0.2499 0.4944  7 Br 3.03-3.23
Sr 0.9294 0.2499 0.9944  7 Br 3.03-3.23
Sr 0.0706 0.7501 0.0056  7 Br 3.03-3.23
Tl 0.4681 0.4942 0.8292  7 Br 3.26-3.60
Tl 0.5319 0.5058 0.1708  7 Br 3.26-3.60
Tl 0.9681 0.5058 0.6708  7 Br 3.26-3.60
Tl 0.0319 0.4942 0.3292  7 Br 3.26-3.60
Br 0.3345 0.4637 0.5933  2 Sr 3.03-3.10, 2 Tl 3.26-3.36
Br 0.6655 0.5363 0.4067  2 Sr 3.03-3.10, 2 Tl 3.26-3.36
Br 0.8345 0.5363 0.9067  2 Sr 3.03-3.10, 2 Tl 3.26-3.36
Br 0.1655 0.4637 0.0933  2 Sr 3.03-3.10, 2 Tl 3.26-3.36
Br 0.6676 0.7805 0.6834  3 Sr 3.12-3.30
Br 0.3324 0.2195 0.3166  3 Sr 3.12-3.30
Br 0.1676 0.2195 0.8166  3 Sr 3.12-3.30
Br 0.8324 0.7805 0.1834  3 Sr 3.12-3.30
Br 0.1919 0.7702 0.7827  3 Sr 3.15-3.23, 2 Tl 3.44-3.52
Br 0.8081 0.2298 0.2173  3 Sr 3.15-3.23, 2 Tl 3.44-3.52
Br 0.6919 0.2298 0.7173  3 Sr 3.15-3.23, 2 Tl 3.44-3.52
Br 0.3081 0.7702 0.2827  3 Sr 3.15-3.23, 2 Tl 3.44-3.52
Br 0.0447 0.7807 0.5024  3 Sr 3.17-3.23, 2 Tl 3.48-3.54
Br 0.9553 0.2193 0.4976  3 Sr 3.17-3.23, 2 Tl 3.48-3.54
Br 0.5447 0.2193 0.9976  3 Sr 3.17-3.23, 2 Tl 3.48-3.54
Br 0.4553 0.7807 0.0024  3 Sr 3.17-3.23, 2 Tl 3.48-3.54
Br 0.8375 0.9594 0.9008  4 Sr 3.09-3.23
Br 0.1625 0.0406 0.0992  4 Sr 3.09-3.23
Br 0.3375 0.0406 0.5992  4 Sr 3.09-3.23
Br 0.6625 0.9594 0.4008  4 Sr 3.09-3.23

DFT (r2SCAN) results for a geometry-optimized TaBr5 structure.

Summary:
Formation energy: -1.08 eV per atom
Magnetic moment: 0.0 Bohr magnetons per cell

Unit cell a=6.3584 b=13.8037 c=13.8037 alpha=87.34 beta=89.46 gamma=89.46
With the nearest neighbours (Å) after each atom.
Fractional coordinates of all 36 atoms:
Ta 0.5000 0.3904 0.6096  4 Br 2.42-2.48
Ta 0.5000 0.6096 0.3904  4 Br 2.42-2.48
Ta 0.0208 0.0573 0.2764  4 Br 2.42-2.48
Ta 0.0208 0.2764 0.0573  4 Br 2.42-2.48
Ta 0.9792 0.9427 0.7236  4 Br 2.42-2.48
Ta 0.9792 0.7236 0.9427  4 Br 2.42-2.48
Br 0.8024 0.1157 0.1157  2 Ta 2.71
Br 0.1976 0.8843 0.8843  2 Ta 2.71
Br 0.7839 0.9220 0.3019  1 Ta 2.42
Br 0.7839 0.3019 0.9220  1 Ta 2.42
Br 0.2161 0.0780 0.6981  1 Ta 2.42
Br 0.2161 0.6981 0.0780  1 Ta 2.42
Br 0.2519 0.9683 0.1650  1 Ta 2.48
Br 0.2519 0.1650 0.9683  1 Ta 2.48
Br 0.7481 0.0317 0.8350  1 Ta 2.48
Br 0.7481 0.8350 0.0317  1 Ta 2.48
Br 0.2569 0.0320 0.4120  1 Ta 2.42
Br 0.2569 0.4120 0.0320  1 Ta 2.42
Br 0.7431 0.9680 0.5880  1 Ta 2.42
Br 0.7431 0.5880 0.9680  1 Ta 2.42
Br 0.2406 0.2177 0.2177  2 Ta 2.72
Br 0.7594 0.7823 0.7823  2 Ta 2.72
Br 0.2760 0.3019 0.4983  1 Ta 2.48
Br 0.2760 0.4983 0.3019  1 Ta 2.48
Br 0.7240 0.6981 0.5017  1 Ta 2.48
Br 0.7240 0.5017 0.6981  1 Ta 2.48
Br 0.7889 0.1689 0.3648  1 Ta 2.48
Br 0.7889 0.3648 0.1689  1 Ta 2.48
Br 0.2111 0.8311 0.6352  1 Ta 2.48
Br 0.2111 0.6352 0.8311  1 Ta 2.48
Br 0.2600 0.3649 0.7454  1 Ta 2.42
Br 0.2600 0.7454 0.3649  1 Ta 2.42
Br 0.7400 0.6351 0.2546  1 Ta 2.42
Br 0.7400 0.2546 0.6351  1 Ta 2.42
Br 0.2768 0.5509 0.5509  2 Ta 2.72
Br 0.7232 0.4491 0.4491  2 Ta 2.72

Which formula does entry 2 have?
SrBr2